(i)
Li3VF6 | PBE with a Hubbard U | relaxed

Lattice parameters (Å, degrees): 9.148 9.148 9.432 88.18 88.18 33.90
Sites, in units of the cell vectors:
F (0.677, 0.651, 0.040)
F (0.749, 0.216, 0.962)
F (0.849, 0.998, 0.260)
F (0.846, 0.824, 0.515)
F (0.784, 0.251, 0.538)
F (0.323, 0.501, 0.214)
F (0.677, 0.499, 0.786)
F (0.151, 0.002, 0.740)
F (0.108, 0.390, 0.195)
F (0.499, 0.677, 0.286)
F (0.251, 0.784, 0.038)
F (0.501, 0.323, 0.714)
F (0.892, 0.610, 0.805)
F (0.349, 0.323, 0.460)
F (0.002, 0.151, 0.240)
F (0.323, 0.349, 0.960)
F (0.154, 0.176, 0.485)
F (0.390, 0.108, 0.695)
F (0.824, 0.846, 0.015)
F (0.610, 0.892, 0.305)
F (0.998, 0.849, 0.760)
F (0.176, 0.154, 0.985)
F (0.651, 0.677, 0.540)
F (0.216, 0.749, 0.462)
Li (0.396, 0.821, 0.899)
Li (0.139, 0.701, 0.950)
Li (0.961, 0.392, 0.680)
Li (0.299, 0.861, 0.550)
Li (0.039, 0.608, 0.320)
Li (0.179, 0.604, 0.601)
Li (0.861, 0.299, 0.050)
Li (0.608, 0.039, 0.820)
Li (0.821, 0.396, 0.399)
Li (0.392, 0.961, 0.180)
Li (0.701, 0.139, 0.450)
Li (0.604, 0.179, 0.101)
V (0.796, 0.204, 0.750)
V (0.204, 0.796, 0.250)
V (0.000, 0.500, 0.000)
V (0.500, 0.000, 0.500)


(ii)
Li3VF6 | PBE with a Hubbard U | relaxed

Lattice parameters (Å, degrees): 5.227 5.185 9.319 56.58 90.00 90.00
Sites, in units of the cell vectors:
F (0.671, 0.731, 0.443)
F (0.905, 0.367, 0.762)
F (0.329, 0.269, 0.557)
F (0.405, 0.633, 0.738)
F (0.318, 0.927, 0.917)
F (0.682, 0.073, 0.083)
F (0.171, 0.269, 0.057)
F (0.829, 0.731, 0.943)
F (0.095, 0.633, 0.238)
F (0.818, 0.073, 0.583)
F (0.182, 0.927, 0.417)
F (0.595, 0.367, 0.262)
V (0.500, 0.000, 0.500)
V (0.000, 0.000, 0.000)
Li (0.469, 0.722, 0.264)
Li (0.969, 0.278, 0.236)
Li (0.000, 0.500, 0.500)
Li (0.500, 0.500, 0.000)
Li (0.031, 0.722, 0.764)
Li (0.531, 0.278, 0.736)


Winner for stability: (ii)


(i)
Li4VF6 | PBE with a Hubbard U | relaxed

Lattice parameters (Å, degrees): 8.816 5.161 5.367 70.26 90.00 90.00
Sites, in units of the cell vectors:
F (0.682, 0.874, 0.303)
F (0.993, 0.923, 0.273)
F (0.674, 0.035, 0.765)
F (0.007, 0.077, 0.727)
F (0.493, 0.577, 0.727)
F (0.507, 0.423, 0.273)
F (0.326, 0.965, 0.235)
F (0.182, 0.626, 0.697)
F (0.826, 0.535, 0.765)
F (0.318, 0.126, 0.697)
F (0.818, 0.374, 0.303)
F (0.174, 0.465, 0.235)
Li (0.667, 0.651, 0.039)
Li (0.167, 0.849, 0.961)
Li (0.833, 0.151, 0.039)
Li (0.163, 0.039, 0.449)
Li (0.837, 0.961, 0.551)
Li (0.333, 0.349, 0.961)
Li (0.337, 0.539, 0.449)
Li (0.663, 0.461, 0.551)
V (0.500, 0.000, 0.500)
V (0.000, 0.500, 0.500)


(ii)
Li4VF6 | PBE with a Hubbard U | relaxed

Lattice parameters (Å, degrees): 3.258 7.598 14.152 90.00 90.00 90.00
Sites, in units of the cell vectors:
F (0.500, 0.886, 0.360)
F (0.000, 0.937, 0.802)
F (0.000, 0.437, 0.698)
F (0.500, 0.614, 0.860)
F (0.500, 0.386, 0.140)
F (0.000, 0.563, 0.302)
F (0.000, 0.677, 0.014)
F (0.000, 0.177, 0.486)
F (0.500, 0.114, 0.640)
F (0.000, 0.823, 0.514)
F (0.000, 0.323, 0.986)
F (0.000, 0.063, 0.198)
V (0.500, 0.000, 0.500)
V (0.500, 0.500, 0.000)
Li (0.500, 0.001, 0.244)
Li (0.500, 0.499, 0.744)
Li (0.000, 0.252, 0.117)
Li (0.000, 0.752, 0.383)
Li (0.000, 0.748, 0.883)
Li (0.000, 0.248, 0.617)
Li (0.500, 0.999, 0.756)
Li (0.500, 0.501, 0.256)


Winner for stability: (i)